NaSb3O8: optimized geometry, PBE-GGA.

Cell and atoms, written as CIF:
```
data_NaSb3O8
_space_group_name_H-M_alt 'P 1 21/c 1'
_space_group_IT_number 14
_cell_length_a 5.7692
_cell_length_b 4.8633
_cell_length_c 10.6876
_cell_angle_alpha 90.00
_cell_angle_beta 97.21
_cell_angle_gamma 90.00
loop_
_space_group_symop_operation_xyz
'x,y,z'
'-x,-y,-z'
'-x,y+1/2,-z+1/2'
'x,-y+1/2,z+1/2'
loop_
_atom_site_label
_atom_site_fract_x
_atom_site_fract_y
_atom_site_fract_z
Na1 0.0000 0.0000 0.0000
Sb1 0.2415 0.0260 0.7501
Sb2 0.5000 0.0000 0.5000
O1 0.0013 0.2014 0.1853
O2 0.2357 0.6488 0.0814
O3 0.2943 0.2105 0.9157
O4 0.4829 0.7269 0.8278
```

As for the formation energy: -1.896 eV/atom. For the volume, the calculation gives 297 Å³/cell. The energy above the most stable polymorph in this dataset comes out at 0.00 eV/f.u.

***

CrN2: optimized geometry, PBE-GGA.

Cell and atoms, written as CIF:
```
data_CrN2
_space_group_name_H-M_alt 'I 41/a m d'
_space_group_IT_number 141
_cell_length_a 10.9193
_cell_length_b 10.9193
_cell_length_c 22.7140
_cell_angle_alpha 90.00
_cell_angle_beta 90.00
_cell_angle_gamma 90.00
loop_
_space_group_symop_operation_xyz
'x,y,z'
'-x,-y,-z'
'-y+1/4,x+3/4,z+1/4'
'y+1/4,-x+3/4,-z+1/4'
'-x+1/2,-y,z+1/2'
'x+1/2,y,-z+1/2'
'y+1/4,-x+1/4,z+3/4'
'-y+1/4,x+1/4,-z+3/4'
'x,-y,-z'
'-x,y,z'
'-y+1/4,-x+1/4,-z+3/4'
'y+1/4,x+1/4,z+3/4'
'-x+1/2,y,-z+1/2'
'x+1/2,-y,z+1/2'
'y+1/4,x+3/4,-z+1/4'
'-y+1/4,-x+3/4,z+1/4'
'x+1/2,y+1/2,z+1/2'
'-x+1/2,-y+1/2,-z+1/2'
'-y+3/4,x+1/4,z+3/4'
'y+3/4,-x+1/4,-z+3/4'
'-x,-y+1/2,z'
'x,y+1/2,-z'
'y+3/4,-x+3/4,z+1/4'
'-y+3/4,x+3/4,-z+1/4'
'x+1/2,-y+1/2,-z+1/2'
'-x+1/2,y+1/2,z+1/2'
'-y+3/4,-x+3/4,-z+1/4'
'y+3/4,x+3/4,z+1/4'
'-x,y+1/2,-z'
'x,-y+1/2,z'
'y+3/4,x+1/4,-z+3/4'
'-y+3/4,-x+1/4,z+3/4'
loop_
_atom_site_label
_atom_site_fract_x
_atom_site_fract_y
_atom_site_fract_z
Cr1 0.1504 0.0928 0.3038
N1 0.0000 0.0469 0.2934
N2 0.0000 0.0985 0.4488
N3 0.1958 0.0542 0.3750
N4 0.2097 0.0000 0.5000
```

As for the formation energy: -0.058 eV/atom. For the volume, the calculation gives 2708 Å³/cell.

***

Ba3Sr4O7: optimized geometry, PBE-GGA.

Cell and atoms, written as CIF:
```
data_Ba3Sr4O7
_space_group_name_H-M_alt 'I m m m'
_space_group_IT_number 71
_space_group_name_Hall '-I 2 2'
_cell_length_a 3.8044
_cell_length_b 5.3986
_cell_length_c 26.7362
_cell_angle_alpha 90.00
_cell_angle_beta 90.00
_cell_angle_gamma 90.00
loop_
_atom_site_label
_atom_site_fract_x
_atom_site_fract_y
_atom_site_fract_z
Ba1 0.0000 0.0000 0.0000
Ba2 0.0000 0.0000 0.1448
Sr1 0.0000 0.0000 0.2849
Sr2 0.0000 0.0000 0.4282
O1 0.0000 0.5000 0.0000
O2 0.0000 0.5000 0.1404
O3 0.0000 0.5000 0.2776
O4 0.0000 0.5000 0.4263
```

As for the formation energy: -2.930 eV/atom. For the volume, the calculation gives 549 Å³/cell.

***

Look up the volume of the third one. 549 Å³/cell

***

volume of number 3 (Ba3Sr4O7)? 549 Å³/cell

***

Among the records above, which one has the lowest volume? NaSb3O8